{
  "formula": "LuCuS2",
  "functional": "PBE-GGA",
  "state": "optimized geometry",
  "space_group": "P2_12_12_1, No. 19",
  "total_magnetization_mub_per_cell": 0.002,
  "e_form_kj_per_mol_atoms": -155,
  "corrected_energy_ev_per_atom": -5.83,
  "lattice_angstrom": [[-1.4158, -1.4345, -3.3762], [-5.1096, -1.8956, 2.9481], [-5.7509, 11.5920, -2.5137]],
  "species": ["Lu", "S", "S", "Cu", "Cu", "Lu", "Lu", "Cu", "S", "S", "Cu", "S", "S", "S", "Lu", "S"],
  "fractional_positions": [[0.7821, 0.7462, 0.3658], [0.2217, 0.0190, 0.7927], [0.7840, 0.9843, 0.5400], [0.2065, 0.1518, 0.4436], [0.7065, 0.3482, 0.5564], [0.2821, 0.7538, 0.6342], [0.7179, 0.2538, 0.8658], [0.7935, 0.6518, 0.0564], [0.2160, 0.4843, 0.9600], [0.7783, 0.5190, 0.7073], [0.2935, 0.8482, 0.9436], [0.7217, 0.4810, 0.2073], [0.2840, 0.5157, 0.4600], [0.2783, 0.9810, 0.2927], [0.2179, 0.2462, 0.1342], [0.7160, 0.0157, 0.0400]]
}